No. 1
Computed, not measured: an optimized crystal structure of TiH2 at the GGA-PBE level of DFT.

a b c (Å): 3.128 3.128 3.128
angles (deg): 60.00 60.00 60.00
Element x y z (fractional)
H1 0.750 0.750 0.750
Ti1 0.000 0.000 0.000
H2 0.250 0.250 0.250

ρ: 3.826 g/cm³

No. 2
Computed, not measured: an optimized crystal structure of Mn2CoAs2Rh at the GGA-PBE level of DFT.

a b c (Å): 3.630 6.270 11.032
angles (deg): 90.61 90.00 90.00
Element x y z (fractional)
Co1 0.000 0.262 0.002
As1 0.000 0.488 0.171
Rh1 0.000 0.870 0.133
Mn1 0.500 0.092 0.497
As2 0.500 0.507 0.490
Mn2 0.500 0.208 0.206
Co2 0.000 0.373 0.371
Mn3 0.500 0.205 0.798
Rh2 0.000 0.373 0.627
As3 0.000 0.489 0.838
As4 0.000 0.991 0.660
As5 0.000 0.004 0.341
Mn4 0.500 0.587 0.002
Mn5 0.500 0.702 0.699
As6 0.500 0.020 0.002
Mn6 0.500 0.701 0.298
Co3 0.000 0.757 0.496
Rh3 0.000 0.871 0.869

Size of the total moment: 1.046 μB per atom
ρ: 8.365 g/cm³

No. 3
Computed, not measured: an optimized crystal structure of Mg2Nb2CuO8 at the GGA-PBE level of DFT.

a b c (Å): 10.027 10.027 5.165
angles (deg): 88.36 88.36 35.26
Element x y z (fractional)
Nb1 0.280 0.951 0.764
O1 0.694 0.419 0.439
Mg1 0.413 0.130 0.748
Cu1 0.651 0.349 0.750
O2 0.085 0.290 0.547
O3 0.419 0.694 0.939
O4 0.710 0.915 0.953
Cu2 0.349 0.651 0.250
O5 0.581 0.306 0.061
O6 0.039 0.816 0.069
Nb2 0.049 0.720 0.736
O7 0.961 0.184 0.931
Mg2 0.870 0.587 0.752
Nb3 0.951 0.280 0.264
O8 0.452 0.165 0.378
O9 0.915 0.710 0.453
O10 0.835 0.548 0.122
Mg3 0.587 0.870 0.252
O11 0.306 0.581 0.561
O12 0.184 0.961 0.431
O13 0.290 0.085 0.047
Mg4 0.130 0.413 0.248
Nb4 0.720 0.049 0.236
O14 0.165 0.452 0.878
O15 0.548 0.835 0.622
O16 0.816 0.039 0.569

Size of the total moment: 0.078 μB per atom
ρ: 4.721 g/cm³

No. 4
Computed, not measured: an optimized crystal structure of SrMg14SiO16 at the GGA-PBE level of DFT.

a b c (Å): 8.699 8.699 4.420
angles (deg): 90.00 90.00 90.00
Element x y z (fractional)
Mg1 0.500 0.000 0.000
O1 0.500 0.000 0.500
O2 0.770 0.500 0.000
O3 0.250 0.750 0.500
O4 0.230 0.500 0.000
Mg2 0.000 0.500 0.000
O5 0.500 0.230 0.000
O6 0.000 0.500 0.500
O7 0.000 0.000 0.500
O8 0.743 0.000 0.000
Mg3 0.754 0.754 0.000
Mg4 0.500 0.759 0.500
Mg5 0.000 0.252 0.500
O9 0.750 0.750 0.500
O10 0.257 0.000 0.000
Si1 0.000 0.000 0.000
Mg6 0.754 0.246 0.000
Sr1 0.500 0.500 0.000
O11 0.500 0.770 0.000
Mg7 0.000 0.748 0.500
O12 0.000 0.257 0.000
Mg8 0.748 0.000 0.500
O13 0.500 0.500 0.500
Mg9 0.759 0.500 0.500
Mg10 0.500 0.241 0.500
O14 0.000 0.743 0.000
O15 0.250 0.250 0.500
Mg11 0.246 0.246 0.000
Mg12 0.241 0.500 0.500
Mg13 0.246 0.754 0.000
O16 0.750 0.250 0.500
Mg14 0.252 0.000 0.500

Relative energy among the computed polymorphs: 0 meV per atom
Size of the total moment: 0.000 μB per atom
ρ: 3.535 g/cm³

Results for calculated total energy: -5.3773, -7.3204, -7.4373, -5.8615 (in eV/atom, following the order of the records).
Results for calculated volume: 7.2, 13.9, 11.5, 10.5 (in Å³/atom, following the order of the records).